Compound: CoP2H18N6F12
Source: the Materials Project database
Functional: PBE with a Hubbard U
Structure: relaxed

abc: 8.304 8.308 8.394
angles: 118.78 118.81 91.15
Sites, in units of the cell vectors:
Co1 0.000 0.000 0.000
P1 0.244 0.750 0.502
P2 0.744 0.251 0.503
H1 0.109 0.117 0.803
H2 0.116 0.280 0.398
H3 0.162 0.675 0.975
H4 0.166 0.312 0.032
H5 0.240 0.128 0.408
H6 0.288 0.282 0.355
H7 0.300 0.819 0.976
H8 0.306 0.176 0.033
H9 0.320 0.882 0.202
H10 0.684 0.118 0.995
H11 0.685 0.756 0.879
H12 0.722 0.713 0.603
H13 0.727 0.179 0.856
H14 0.820 0.888 0.148
H15 0.835 0.868 0.592
H16 0.863 0.315 0.126
H17 0.874 0.705 0.011
H18 0.941 0.725 0.657
N1 0.164 0.172 0.965
N2 0.177 0.192 0.325
N3 0.221 0.817 0.037
N4 0.793 0.174 0.992
N5 0.826 0.818 0.013
N6 0.854 0.807 0.678
F1 0.095 0.876 0.495
F2 0.110 0.601 0.500
F3 0.114 0.612 0.232
F4 0.374 0.884 0.772
F5 0.377 0.899 0.505
F6 0.393 0.623 0.509
F7 0.600 0.121 0.510
F8 0.603 0.117 0.233
F9 0.615 0.398 0.508
F10 0.870 0.101 0.495
F11 0.884 0.384 0.772
F12 0.888 0.380 0.497

Output
The calculated formation energy is -31.699 kcal/mol of atoms. The space group is P1, No. 1.

Compound: Na2V2CoH4O6F6
Source: the Materials Project database
Functional: PBE with a Hubbard U
Structure: relaxed

abc: 8.413 5.352 10.611
angles: 90.00 92.00 90.00
Sites, in units of the cell vectors:
Na1 0.033 0.053 0.164
Na2 0.033 0.447 0.664
Na3 0.967 0.553 0.336
Na4 0.967 0.947 0.836
V1 0.210 0.525 0.006
V2 0.210 0.975 0.506
V3 0.790 0.025 0.494
V4 0.790 0.475 0.994
Co1 0.500 0.000 0.000
Co2 0.500 0.500 0.500
H1 0.343 0.533 0.277
H2 0.343 0.967 0.777
H3 0.495 0.700 0.269
H4 0.495 0.800 0.769
H5 0.505 0.200 0.231
H6 0.505 0.300 0.731
H7 0.657 0.033 0.223
H8 0.657 0.467 0.723
O1 0.305 0.705 0.542
O2 0.305 0.795 0.042
O3 0.351 0.189 0.486
O4 0.351 0.311 0.986
O5 0.457 0.539 0.303
O6 0.457 0.961 0.803
O7 0.543 0.039 0.197
O8 0.543 0.461 0.697
O9 0.649 0.689 0.014
O10 0.649 0.811 0.514
O11 0.695 0.205 0.958
O12 0.695 0.295 0.458
F1 0.019 0.223 0.470
F2 0.019 0.277 0.970
F3 0.163 0.615 0.836
F4 0.163 0.885 0.336
F5 0.171 0.068 0.679
F6 0.171 0.432 0.179
F7 0.829 0.568 0.821
F8 0.829 0.932 0.321
F9 0.837 0.115 0.664
F10 0.837 0.385 0.164
F11 0.981 0.723 0.030
F12 0.981 0.777 0.530

Output
The calculated formation energy is -50.692 kcal/mol of atoms. The space group is P2_1/c, No. 14.

Compound: Np2CoH8F10
Source: the Materials Project database
Functional: PBE with a Hubbard U
Structure: relaxed

abc: 10.703 6.961 8.679
angles: 90.00 97.83 90.00
Sites, in units of the cell vectors:
Np1 0.058 0.135 0.195
Np2 0.058 0.365 0.695
Np3 0.942 0.635 0.305
Np4 0.942 0.865 0.805
Co1 0.500 0.000 0.000
Co2 0.500 0.500 0.500
H1 0.305 0.572 0.038
H2 0.305 0.928 0.538
H3 0.358 0.025 0.023
H4 0.358 0.475 0.523
H5 0.372 0.602 0.520
H6 0.372 0.898 0.020
H7 0.472 0.215 0.011
H8 0.472 0.285 0.511
H9 0.528 0.715 0.489
H10 0.528 0.785 0.989
H11 0.628 0.102 0.980
H12 0.628 0.398 0.480
H13 0.642 0.525 0.477
H14 0.642 0.975 0.977
H15 0.695 0.072 0.462
H16 0.695 0.428 0.962
F1 0.083 0.197 0.439
F2 0.083 0.303 0.939
F3 0.100 0.032 0.723
F4 0.100 0.468 0.223
F5 0.104 0.570 0.510
F6 0.104 0.930 0.010
F7 0.114 0.654 0.800
F8 0.114 0.846 0.300
F9 0.249 0.163 0.211
F10 0.249 0.337 0.711
F11 0.751 0.663 0.289
F12 0.751 0.837 0.789
F13 0.886 0.154 0.700
F14 0.886 0.346 0.200
F15 0.896 0.070 0.990
F16 0.896 0.430 0.490
F17 0.900 0.532 0.777
F18 0.900 0.968 0.277
F19 0.917 0.697 0.061
F20 0.917 0.803 0.561

Output
The calculated formation energy is -38.591 kcal/mol of atoms. The space group is P2_1/c, No. 14.

Compound: Co5P4H12O16F2
Source: the Materials Project database
Functional: PBE with a Hubbard U
Structure: relaxed

abc: 9.978 10.269 10.269
angles: 130.23 90.00 90.00
Sites, in units of the cell vectors:
Co1 0.000 0.000 0.000
Co2 0.075 0.372 0.020
Co3 0.080 0.005 0.644
Co4 0.420 0.505 0.144
Co5 0.425 0.872 0.520
Co6 0.500 0.500 0.500
Co7 0.575 0.520 0.872
Co8 0.580 0.144 0.505
Co9 0.920 0.644 0.005
Co10 0.925 0.020 0.372
P1 0.186 0.777 0.236
P2 0.229 0.746 0.674
P3 0.271 0.246 0.174
P4 0.314 0.277 0.736
P5 0.686 0.736 0.277
P6 0.729 0.174 0.246
P7 0.771 0.674 0.746
P8 0.814 0.236 0.777
H1 0.029 0.481 0.319
H2 0.076 0.449 0.719
H3 0.086 0.651 0.807
H4 0.089 0.211 0.353
H5 0.164 0.604 0.526
H6 0.224 0.837 0.151
H7 0.276 0.337 0.651
H8 0.336 0.104 0.026
H9 0.411 0.711 0.853
H10 0.414 0.151 0.307
H11 0.424 0.949 0.219
H12 0.471 0.981 0.819
H13 0.529 0.819 0.981
H14 0.576 0.219 0.949
H15 0.586 0.307 0.151
H16 0.589 0.853 0.711
H17 0.664 0.026 0.104
H18 0.724 0.651 0.337
H19 0.776 0.151 0.837
H20 0.836 0.526 0.604
H21 0.911 0.353 0.211
H22 0.914 0.807 0.651
H23 0.924 0.719 0.449
H24 0.971 0.319 0.481
O1 0.035 0.561 0.799
O2 0.039 0.236 0.453
O3 0.097 0.618 0.109
O4 0.106 0.921 0.395
O5 0.139 0.177 0.185
O6 0.141 0.813 0.828
O7 0.185 0.234 0.784
O8 0.250 0.378 0.147
O9 0.250 0.878 0.647
O10 0.315 0.734 0.284
O11 0.359 0.313 0.328
O12 0.361 0.677 0.685
O13 0.394 0.421 0.895
O14 0.403 0.118 0.609
O15 0.461 0.736 0.953
O16 0.465 0.061 0.299
O17 0.535 0.299 0.061
O18 0.539 0.953 0.736
O19 0.597 0.609 0.118
O20 0.606 0.895 0.421
O21 0.639 0.685 0.677
O22 0.641 0.328 0.313
O23 0.685 0.284 0.734
O24 0.750 0.147 0.378
O25 0.750 0.647 0.878
O26 0.815 0.784 0.234
O27 0.859 0.828 0.813
O28 0.861 0.185 0.177
O29 0.894 0.395 0.921
O30 0.903 0.109 0.618
O31 0.961 0.453 0.236
O32 0.965 0.799 0.561
F1 0.022 0.120 0.896
F2 0.478 0.620 0.396
F3 0.522 0.396 0.620
F4 0.978 0.896 0.120

Output
The calculated formation energy is -37.576 kcal/mol of atoms. The space group is Aea2, No. 41.

Compound: CoSn2H12O6F6
Source: the Materials Project database
Functional: PBE with a Hubbard U
Structure: relaxed

abc: 8.916 11.209 14.377
angles: 77.58 83.42 112.59
Sites, in units of the cell vectors:
Co1 0.500 0.000 0.500
Co2 0.750 0.500 0.750
Co3 0.000 0.000 0.000
Co4 0.250 0.500 0.250
Sn1 0.741 0.510 0.406
Sn2 0.991 0.010 0.656
Sn3 0.242 0.511 0.906
Sn4 0.491 0.010 0.156
Sn5 0.008 0.989 0.344
Sn6 0.258 0.490 0.594
Sn7 0.509 0.990 0.844
Sn8 0.758 0.490 0.094
H1 0.506 0.724 0.261
H2 0.757 0.224 0.510
H3 0.006 0.724 0.761
H4 0.257 0.224 0.010
H5 0.243 0.776 0.490
H6 0.494 0.276 0.739
H7 0.743 0.776 0.990
H8 0.993 0.276 0.239
H9 0.594 0.893 0.368
H10 0.844 0.393 0.618
H11 0.094 0.893 0.868
H12 0.344 0.393 0.118
H13 0.156 0.607 0.382
H14 0.406 0.107 0.632
H15 0.656 0.607 0.882
H16 0.906 0.107 0.132
H17 0.080 0.874 0.158
H18 0.329 0.374 0.408
H19 0.580 0.874 0.658
H20 0.830 0.374 0.908
H21 0.670 0.626 0.592
H22 0.921 0.126 0.842
H23 0.171 0.626 0.092
H24 0.420 0.126 0.342
H25 0.170 0.875 0.521
H26 0.420 0.375 0.771
H27 0.670 0.875 0.021
H28 0.920 0.375 0.271
H29 0.580 0.625 0.229
H30 0.830 0.125 0.479
H31 0.080 0.625 0.729
H32 0.330 0.125 0.979
H33 0.579 0.798 0.471
H34 0.830 0.298 0.721
H35 0.079 0.798 0.971
H36 0.329 0.298 0.221
H37 0.171 0.702 0.279
H38 0.421 0.202 0.529
H39 0.671 0.702 0.779
H40 0.921 0.202 0.029
H41 0.896 0.779 0.154
H42 0.146 0.278 0.404
H43 0.396 0.778 0.654
H44 0.646 0.278 0.904
H45 0.854 0.722 0.596
H46 0.105 0.222 0.846
H47 0.354 0.722 0.096
H48 0.604 0.222 0.346
O1 0.130 0.606 0.317
O2 0.380 0.106 0.567
O3 0.630 0.606 0.817
O4 0.880 0.106 0.067
O5 0.620 0.894 0.433
O6 0.870 0.394 0.683
O7 0.120 0.894 0.933
O8 0.370 0.394 0.183
O9 0.270 0.871 0.485
O10 0.520 0.372 0.735
O11 0.770 0.872 0.985
O12 0.020 0.371 0.235
O13 0.480 0.629 0.265
O14 0.730 0.128 0.515
O15 0.980 0.629 0.765
O16 0.230 0.128 0.015
O17 0.774 0.626 0.610
O18 0.024 0.126 0.860
O19 0.275 0.626 0.110
O20 0.524 0.126 0.360
O21 0.976 0.874 0.140
O22 0.225 0.374 0.390
O23 0.476 0.874 0.640
O24 0.726 0.374 0.890
F1 0.488 0.368 0.460
F2 0.739 0.868 0.710
F3 0.989 0.369 0.960
F4 0.238 0.869 0.211
F5 0.261 0.131 0.290
F6 0.511 0.632 0.540
F7 0.762 0.132 0.789
F8 0.012 0.631 0.040
F9 0.748 0.381 0.318
F10 0.998 0.881 0.569
F11 0.248 0.381 0.818
F12 0.498 0.881 0.068
F13 0.002 0.119 0.431
F14 0.252 0.619 0.682
F15 0.502 0.119 0.931
F16 0.752 0.619 0.182
F17 0.951 0.119 0.239
F18 0.201 0.619 0.489
F19 0.451 0.119 0.739
F20 0.700 0.619 0.989
F21 0.799 0.381 0.511
F22 0.049 0.881 0.761
F23 0.299 0.381 0.011
F24 0.549 0.881 0.261

Output
The calculated formation energy is -38.951 kcal/mol of atoms.

Compound: Hf3CoF6
Source: the Materials Project database
Functional: PBE with a Hubbard U
Structure: relaxed

abc: 5.033 5.042 12.507
angles: 89.56 87.94 89.63
Sites, in units of the cell vectors:
Hf1 0.000 0.000 0.000
Hf2 0.000 0.500 0.500
Hf3 0.500 0.000 0.500
Co1 0.000 0.000 0.500
F1 0.005 0.503 0.346
F2 0.017 0.921 0.852
F3 0.492 0.020 0.654
F4 0.508 0.980 0.346
F5 0.983 0.079 0.148
F6 0.995 0.497 0.654

Output
The calculated formation energy is -45.234 kcal/mol of atoms. The space group is P-1, No. 2.

Compound: Li2CoHgF6
Source: the Materials Project database
Functional: PBE with a Hubbard U
Structure: relaxed

abc: 6.060 6.060 6.060
angles: 60.00 60.00 60.00
Sites, in units of the cell vectors:
Li1 0.250 0.250 0.250
Li2 0.750 0.750 0.750
Co1 0.000 0.000 0.000
Hg1 0.500 0.500 0.500
F1 0.233 0.233 0.767
F2 0.233 0.767 0.233
F3 0.233 0.767 0.767
F4 0.767 0.233 0.233
F5 0.767 0.233 0.767
F6 0.767 0.767 0.233

Output
The calculated formation energy is -45.945 kcal/mol of atoms. The space group is Fm-3m, No. 225.

Compound: Na2CoHgF6
Source: the Materials Project database
Functional: PBE with a Hubbard U
Structure: relaxed

abc: 6.030 6.030 6.030
angles: 60.00 60.00 60.00
Sites, in units of the cell vectors:
Na1 0.250 0.250 0.250
Na2 0.750 0.750 0.750
Co1 0.000 0.000 0.000
Hg1 0.500 0.500 0.500
F1 0.223 0.223 0.777
F2 0.223 0.777 0.223
F3 0.223 0.777 0.777
F4 0.777 0.223 0.223
F5 0.777 0.223 0.777
F6 0.777 0.777 0.223

Output
The calculated formation energy is -49.020 kcal/mol of atoms. The space group is Fm-3m, No. 225.

Compound: K2CoF6
Source: the Materials Project database
Functional: PBE with a Hubbard U
Structure: relaxed

abc: 5.915 5.915 5.915
angles: 60.00 60.00 60.00
Sites, in units of the cell vectors:
K1 0.250 0.250 0.250
K2 0.750 0.750 0.750
Co1 0.000 0.000 0.000
F1 0.223 0.223 0.777
F2 0.223 0.777 0.223
F3 0.223 0.777 0.777
F4 0.777 0.223 0.223
F5 0.777 0.223 0.777
F6 0.777 0.777 0.223

Output
The calculated formation energy is -57.059 kcal/mol of atoms. The space group is Fm-3m, No. 225.

Compound: K2CoF4
Source: the Materials Project database
Functional: PBE with a Hubbard U
Structure: relaxed

abc: 7.224 7.224 7.224
angles: 146.82 146.82 47.63
Sites, in units of the cell vectors:
K1 0.145 0.145 0.000
K2 0.855 0.855 0.000
Co1 0.500 0.500 0.000
F1 0.000 0.500 0.500
F2 0.346 0.346 0.000
F3 0.500 0.000 0.500
F4 0.654 0.654 0.000

Output
The calculated formation energy is -60.649 kcal/mol of atoms. The space group is I4/mmm, No. 139.

Compound: KCoF3
Source: the Materials Project database
Functional: PBE with a Hubbard U
Structure: relaxed

abc: 4.105 4.105 4.105
angles: 90.00 90.00 90.00
Sites, in units of the cell vectors:
K1 0.000 0.000 0.000
Co1 0.500 0.500 0.500
F1 0.000 0.500 0.500
F2 0.500 0.000 0.500
F3 0.500 0.500 0.000

Output
The calculated formation energy is -56.523 kcal/mol of atoms. The space group is Pm-3m, No. 221.